(1)
Crystalline Na3YSiGeP2O12 at its relaxed geometry. Source: the Materials Project, functional PBE.

Cell lengths 9.114, 9.114, 22.126 Å; angles 91.07, 88.93, 120.23 degrees
Atoms (fractional coordinates):
O: 0.546 0.861 0.077
O: 0.997 0.210 0.910
O: 0.825 0.534 0.022
O: 0.625 0.475 0.918
O: 0.007 0.813 0.417
O: 0.336 0.876 0.982
O: 0.860 0.341 0.251
O: 0.124 0.664 0.482
O: 0.533 0.674 0.965
O: 0.779 0.829 0.190
O: 0.149 0.519 0.866
O: 0.790 0.003 0.410
O: 0.385 0.873 0.860
O: 0.333 0.862 0.579
O: 0.465 0.295 0.030
O: 0.164 0.947 0.195
O: 0.844 0.284 0.522
O: 0.469 0.356 0.739
O: 0.448 0.325 0.145
O: 0.171 0.221 0.690
O: 0.809 0.966 0.692
O: 0.127 0.615 0.360
O: 0.867 0.056 0.087
O: 0.652 0.123 0.134
O: 0.545 0.886 0.479
O: 0.291 0.807 0.254
O: 0.659 0.140 0.751
O: 0.186 0.140 0.085
O: 0.373 0.480 0.351
O: 0.944 0.133 0.587
O: 0.539 0.163 0.924
O: 0.716 0.156 0.022
O: 0.456 0.134 0.247
O: 0.862 0.394 0.915
O: 0.525 0.375 0.418
O: 0.053 0.836 0.695
O: 0.541 0.673 0.581
O: 0.789 0.993 0.815
O: 0.705 0.535 0.530
O: 0.806 0.781 0.301
O: 0.011 0.799 0.810
O: 0.326 0.467 0.465
O: 0.199 0.490 0.252
O: 0.873 0.530 0.145
O: 0.327 0.459 0.081
O: 0.187 0.993 0.917
O: 0.466 0.175 0.522
O: 0.961 0.828 0.090
O: 0.644 0.531 0.239
O: 0.675 0.552 0.645
O: 0.860 0.814 0.585
O: 0.034 0.191 0.192
O: 0.510 0.801 0.752
O: 0.201 0.989 0.310
O: 0.481 0.851 0.366
O: 0.521 0.722 0.257
O: 0.172 0.039 0.590
O: 0.837 0.461 0.424
O: 0.606 0.138 0.415
O: 0.866 0.544 0.747
O: 0.138 0.667 0.079
O: 0.193 0.709 0.754
O: 0.520 0.627 0.851
O: 0.877 0.348 0.634
O: 0.206 0.196 0.410
O: 0.278 0.479 0.757
O: 0.804 0.794 0.910
O: 0.470 0.127 0.645
O: 0.219 0.194 0.801
O: 0.007 0.211 0.315
O: 0.139 0.454 0.577
O: 0.114 0.455 0.979
P: 0.284 0.312 0.747
P: 0.688 0.716 0.247
P: 0.619 0.644 0.911
P: 0.954 0.310 0.579
P: 0.026 0.720 0.751
P: 0.356 0.381 0.411
P: 0.361 0.312 0.086
P: 0.688 0.639 0.586
P: 0.280 0.974 0.251
P: 0.035 0.393 0.917
P: 0.690 0.046 0.079
P: 0.607 0.965 0.417
Ge: 0.654 0.340 0.479
Ge: 0.345 0.678 0.814
Ge: 0.008 0.019 0.647
Ge: 0.981 0.992 0.147
Ge: 0.660 0.346 0.979
Ge: 0.322 0.655 0.314
Y: 0.676 0.334 0.688
Y: 0.985 0.988 0.354
Y: 0.336 0.663 0.521
Y: 0.666 0.324 0.188
Y: 0.337 0.664 0.021
Y: 0.012 0.015 0.854
Si: 0.355 0.976 0.921
Si: 0.699 0.986 0.753
Si: 0.024 0.645 0.421
Si: 0.363 0.054 0.584
Si: 0.946 0.637 0.084
Si: 0.014 0.301 0.253
Na: 0.307 0.630 0.669
Na: 0.655 0.648 0.749
Na: 0.989 0.688 0.920
Na: 0.352 0.345 0.249
Na: 0.647 0.973 0.586
Na: 0.992 0.640 0.244
Na: 0.312 0.011 0.420
Na: 0.370 0.693 0.169
Na: 0.979 0.308 0.413
Na: 0.692 0.021 0.913
Na: 0.036 0.697 0.581
Na: 0.027 0.353 0.086
Na: 0.014 0.006 0.002
Na: 0.674 0.322 0.835
Na: 0.303 0.964 0.081
Na: 0.994 0.986 0.502
Na: 0.678 0.326 0.335
Na: 0.360 0.008 0.744

total moment: 0.00 μB per cell
symmetry: Cc, No. 9
ΔE to the lowest computed polymorph: 0.008 eV/atom


(2)
Crystalline Np3Au at its relaxed geometry. Source: the Materials Project, functional PBE.

Cell lengths 6.668, 6.668, 4.107 Å; angles 90.00, 90.00, 120.00 degrees
Atoms (fractional coordinates):
Np: 0.850 0.700 0.750
Np: 0.150 0.300 0.250
Np: 0.150 0.850 0.250
Np: 0.700 0.850 0.250
Np: 0.300 0.150 0.750
Np: 0.850 0.150 0.750
Au: 0.333 0.667 0.750
Au: 0.667 0.333 0.250

total moment: 3.78 μB per cell
symmetry: P6_3/mmc, No. 194
E: -10.02 eV/atom


Among the records above, which one has the highest total moment? Np3Au


What is the total moment in the first record? 0.00 μB per cell


Among the records above, which one has the lowest total moment? Na3YSiGeP2O12